(1)
LaCuSb2: optimized geometry, GGA-PBE.

Values from the calculation:
ΔH_f (0 K) in eV/atom: -0.827
Crystal system: tetragonal
ρ in g/cm³: 7.4

```
data_LaCuSb2
_chemical_formula_sum 'La2 Cu2 Sb4'
_cell_length_a 4.3886
_cell_length_b 4.3886
_cell_length_c 10.3410
_cell_angle_alpha 90.00
_cell_angle_beta 90.00
_cell_angle_gamma 90.00
_space_group_name_H-M_alt 'P 4/n m m'
_space_group_IT_number 129
loop_
_space_group_symop_operation_xyz
'x,y,z'
'-x,-y,-z'
'-y+1/2,x,z'
'y+1/2,-x,-z'
'-x+1/2,-y+1/2,z'
'x+1/2,y+1/2,-z'
'y,-x+1/2,z'
'-y,x+1/2,-z'
'x+1/2,-y,-z'
'-x+1/2,y,z'
'-y,-x,-z'
'y,x,z'
'-x,y+1/2,-z'
'x,-y+1/2,z'
'y+1/2,x+1/2,-z'
'-y+1/2,-x+1/2,z'
loop_
_atom_site_label
_atom_site_type_symbol
_atom_site_fract_x
_atom_site_fract_y
_atom_site_fract_z
La1 La 0.2500 0.2500 0.2493
Cu1 Cu 0.2500 0.7500 0.0000
Sb1 Sb 0.2500 0.2500 0.8514
Sb2 Sb 0.2500 0.7500 0.5000
```

=====

(2)
La3CuSiSe7: optimized geometry, GGA-PBE.

Values from the calculation:
ΔH_f (0 K) in eV/atom: -1.737
Crystal system: hexagonal
ρ in g/cm³: 5.7
Total magnetization in μB/f.u.: 0.00

```
data_La3CuSiSe7
_chemical_formula_sum 'La6 Cu2 Si2 Se14'
_cell_length_a 10.7852
_cell_length_b 10.7852
_cell_length_c 6.1549
_cell_angle_alpha 90.00
_cell_angle_beta 90.00
_cell_angle_gamma 120.00
_space_group_name_H-M_alt 'P 63'
_space_group_IT_number 173
loop_
_space_group_symop_operation_xyz
'x,y,z'
'x-y,x,z+1/2'
'-y,x-y,z'
'-x,-y,z+1/2'
'-x+y,-x,z'
'y,-x+y,z+1/2'
loop_
_atom_site_label
_atom_site_type_symbol
_atom_site_fract_x
_atom_site_fract_y
_atom_site_fract_z
La1 La 0.1265 0.3555 0.0000
Cu1 Cu 0.0000 0.0000 0.4588
Si1 Si 0.3333 0.6667 0.5879
Se1 Se 0.0895 0.2523 0.4822
Se2 Se 0.1084 0.5852 0.7331
Se3 Se 0.3333 0.6667 0.2188
```

=====

(3)
La2CuSi3: optimized geometry, GGA-PBE.

Values from the calculation:
ΔH_f (0 K) in eV/atom: -0.634
Crystal system: hexagonal
ρ in g/cm³: 5.5

```
data_La2CuSi3
_chemical_formula_sum 'La2 Cu1 Si3'
_cell_length_a 4.1502
_cell_length_b 4.1502
_cell_length_c 8.6318
_cell_angle_alpha 90.00
_cell_angle_beta 90.00
_cell_angle_gamma 120.00
_space_group_name_H-M_alt 'P -6 m 2'
_space_group_IT_number 187
_space_group_name_Hall 'P -6 2'
loop_
_atom_site_label
_atom_site_type_symbol
_atom_site_fract_x
_atom_site_fract_y
_atom_site_fract_z
La1 La 0.0000 0.0000 0.2481
Cu1 Cu 0.3333 0.6667 0.0000
Si1 Si 0.3333 0.6667 0.5000
Si2 Si 0.6667 0.3333 0.0000
Si3 Si 0.6667 0.3333 0.5000
```

=====

Copy entry 3 word for word.
La2CuSi3: optimized geometry, GGA-PBE.

Values from the calculation:
ΔH_f (0 K) in eV/atom: -0.634
Crystal system: hexagonal
ρ in g/cm³: 5.5

```
data_La2CuSi3
_chemical_formula_sum 'La2 Cu1 Si3'
_cell_length_a 4.1502
_cell_length_b 4.1502
_cell_length_c 8.6318
_cell_angle_alpha 90.00
_cell_angle_beta 90.00
_cell_angle_gamma 120.00
_space_group_name_H-M_alt 'P -6 m 2'
_space_group_IT_number 187
_space_group_name_Hall 'P -6 2'
loop_
_atom_site_label
_atom_site_type_symbol
_atom_site_fract_x
_atom_site_fract_y
_atom_site_fract_z
La1 La 0.0000 0.0000 0.2481
Cu1 Cu 0.3333 0.6667 0.0000
Si1 Si 0.3333 0.6667 0.5000
Si2 Si 0.6667 0.3333 0.0000
Si3 Si 0.6667 0.3333 0.5000
```

=====

> Which value of ρ does entry 2 give?

5.7 g/cm³